# Na2Y4Zr4Si3S9O48

Crystalline Na2Y4Zr4Si3S9O48 at its relaxed geometry (PBE, the Materials Project).

abc: 9.1098 15.7976 23.9619
angles: 90.06 90.02 90.04
With the nearest neighbours (Å) after each atom.
Sites, in units of the cell vectors:
Na: 0.0000 0.0000 0.0000  4 O 2.51-2.76
Na: 0.0016 0.9867 0.4919  2 O 2.35-2.46
Na: 0.4835 0.4983 0.9841  1 O 2.24
Na: 0.4862 0.5042 0.5026  3 O 2.51-2.57
Na: 0.5233 0.1703 0.3271  3 O 2.47-2.57
Na: 0.9674 0.6720 0.8200  1 O 2.25
Y: 0.0008 0.3487 0.0166  3 O 2.04-2.28
Y: 0.0038 0.3420 0.5225  5 O 2.06-2.29
Y: 0.4853 0.8414 0.0220  5 O 2.06-2.29
Y: 0.4871 0.5174 0.3474  3 O 2.05-2.28
Y: 0.4904 0.8484 0.5195  6 O 2.10-2.35
Y: 0.4908 0.1839 0.4774  3 O 2.06-2.29
Y: 0.4978 0.5058 0.8451  5 O 2.09-2.33
Y: 0.5024 0.1774 0.1811  6 O 2.09-2.31
Y: 0.9805 0.6814 0.6785  3 O 2.04-2.27
Y: 0.9899 0.0073 0.3471  6 O 2.12-2.35
Y: 0.9974 0.6850 0.9758  1 O 2.07
Y: 0.9989 0.0177 0.8450  2 O 2.03-2.25
Zr: 0.0052 0.6852 0.1819  3 O 1.92-2.11
Zr: 0.0110 0.3393 0.8056  3 O 1.93-2.16
Zr: 0.4799 0.8390 0.3091  2 O 1.93-1.97
Zr: 0.4832 0.1844 0.6812  4 O 1.92-2.15
Zr: 0.4867 0.1822 0.9696  3 O 1.91-2.12
Zr: 0.4917 0.5147 0.1467  1 O 1.90
Zr: 0.4964 0.5163 0.6443  6 O 2.00-2.21
Zr: 0.4993 0.8422 0.8024  3 O 1.90-2.13
Zr: 0.9910 0.3437 0.3047  3 O 1.92-2.13
Zr: 0.9921 0.0094 0.6432  6 O 2.00-2.22
Zr: 0.9938 0.0148 0.1455  4 O 2.00-2.17
Zr: 0.9983 0.6900 0.4728  2 O 1.94
Si: 0.1282 0.8306 0.0786  4 O 1.61-1.65
Si: 0.1393 0.1564 0.7430  4 O 1.61-1.66
Si: 0.2018 0.8475 0.4140  4 O 1.59-1.70
Si: 0.2853 0.3483 0.9135  4 O 1.61-1.68
Si: 0.3488 0.6592 0.2448  4 O 1.60-1.69
Si: 0.3608 0.3303 0.5787  4 O 1.61-1.65
Si: 0.6461 0.6567 0.7483  4 O 1.60-1.69
Si: 0.8473 0.1587 0.2471  4 O 1.60-1.68
Si: 0.8574 0.8307 0.5767  4 O 1.59-1.69
S: 0.1338 0.4888 0.4124  4 O 1.47-1.50
S: 0.1404 0.2033 0.4083  4 O 1.47-1.51
S: 0.1444 0.8660 0.7466  4 O 1.47-1.50
S: 0.1467 0.5355 0.0815  4 O 1.47-1.51
S: 0.2015 0.5100 0.7448  4 O 1.47-1.50
S: 0.2049 0.1723 0.0763  4 O 1.46-1.50
S: 0.2836 0.6704 0.5771  4 O 1.46-1.52
S: 0.2872 0.0095 0.2450  4 O 1.46-1.51
S: 0.3422 0.0372 0.5815  4 O 1.46-1.50
S: 0.3447 0.3672 0.2453  4 O 1.47-1.50
S: 0.3494 0.7025 0.9085  4 O 1.47-1.50
S: 0.3518 0.9898 0.9133  4 O 1.47-1.51
S: 0.6275 0.3271 0.0752  4 O 1.46-1.50
S: 0.6330 0.9917 0.4087  4 O 1.46-1.50
S: 0.6433 0.7007 0.4123  4 O 1.46-1.50
S: 0.6467 0.3650 0.7424  4 O 1.47-1.49
S: 0.6507 0.0373 0.0748  4 O 1.47-1.50
S: 0.7010 0.0114 0.7428  4 O 1.46-1.50
S: 0.7049 0.6687 0.0800  4 O 1.47-1.52
S: 0.7077 0.3432 0.4085  4 O 1.46-1.51
S: 0.7800 0.8444 0.9091  4 O 1.47-1.50
S: 0.7831 0.1714 0.5802  4 O 1.47-1.50
S: 0.7860 0.5109 0.2426  4 O 1.47-1.52
S: 0.8374 0.5358 0.5749  4 O 1.47-1.51
S: 0.8430 0.8657 0.2423  4 O 1.46-1.51
S: 0.8445 0.2005 0.9132  4 O 1.47-1.51
S: 0.8528 0.4904 0.9100  4 O 1.48-1.49
O: 0.0534 0.7900 0.0225  1 Si 1.64
O: 0.0556 0.9248 0.0900  1 Si 1.65
O: 0.0610 0.1054 0.6911  1 Si 1.64
O: 0.0609 0.2494 0.7542  1 Si 1.66
O: 0.0635 0.5722 0.4190  1 S 1.47
O: 0.0728 0.9032 0.7964  1 S 1.48
O: 0.0744 0.1187 0.4035  1 S 1.47
O: 0.0776 0.4476 0.3603  1 S 1.50
O: 0.0777 0.4517 0.0778  1 S 1.47
O: 0.0834 0.7690 0.1318  1 Si 1.65
O: 0.0843 0.5802 0.1301  1 S 1.48
O: 0.0856 0.2435 0.4595  1 S 1.47
O: 0.0896 0.9264 0.4085  1 Si 1.62
O: 0.0950 0.7780 0.7406  1 S 1.47
O: 0.1004 0.2569 0.3584  1 S 1.51
O: 0.1045 0.4345 0.4610  1 S 1.47
O: 0.1064 0.4333 0.7509  1 S 1.50
O: 0.1071 0.2450 0.0685  1 S 1.47
O: 0.1086 0.5852 0.7381  1 S 1.47
O: 0.1087 0.7570 0.4198  1 Si 1.67
O: 0.1134 0.9174 0.6962  1 S 1.48
O: 0.1151 0.0930 0.0805  1 S 1.50
O: 0.1176 0.1020 0.7994  1 Si 1.61
O: 0.1285 0.5858 0.0298  1 S 1.48
O: 0.1760 0.6705 0.2293  1 Si 1.63
O: 0.1798 0.0291 0.5892  1 S 1.50
O: 0.1799 0.3375 0.8571  1 Si 1.67
O: 0.1830 0.3667 0.2528  1 S 1.48
O: 0.1850 0.3375 0.5736  1 Si 1.61
O: 0.1846 0.3575 0.9682  1 Si 1.61
O: 0.1865 0.6567 0.5275  1 S 1.50
O: 0.1857 0.6964 0.9096  1 S 1.49
O: 0.1894 0.0018 0.9101  1 S 1.49
O: 0.1915 0.9973 0.1944  1 S 1.51
O: 0.1970 0.0230 0.2946  1 S 1.46
O: 0.1976 0.6783 0.6284  1 S 1.46
O: 0.2912 0.5205 0.7954  1 S 1.47
O: 0.2931 0.1839 0.1268  1 S 1.46
O: 0.2983 0.4974 0.6951  1 S 1.50
O: 0.2977 0.4981 0.4084  1 S 1.50
O: 0.3043 0.1611 0.0267  1 S 1.50
O: 0.3038 0.1977 0.4087  1 S 1.49
O: 0.3040 0.8378 0.0733  1 Si 1.61
O: 0.3037 0.8591 0.4674  1 Si 1.59
O: 0.3076 0.8665 0.7553  1 S 1.50
O: 0.3090 0.8382 0.3564  1 Si 1.70
O: 0.3100 0.5234 0.0896  1 S 1.51
O: 0.3133 0.1705 0.7296  1 Si 1.63
O: 0.3648 0.0871 0.5297  1 S 1.49
O: 0.3722 0.5994 0.2977  1 Si 1.60
O: 0.3772 0.4200 0.1946  1 S 1.50
O: 0.3784 0.5918 0.5812  1 S 1.52
O: 0.3791 0.7438 0.5699  1 S 1.46
O: 0.3805 0.0856 0.2370  1 S 1.48
O: 0.3832 0.2593 0.9229  1 Si 1.68
O: 0.3827 0.9342 0.2511  1 S 1.48
O: 0.3832 0.9372 0.9625  1 S 1.47
O: 0.3889 0.7561 0.8590  1 S 1.50
O: 0.3973 0.4270 0.9102  1 Si 1.61
O: 0.3976 0.2801 0.2364  1 S 1.47
O: 0.4039 0.7430 0.9600  1 S 1.48
O: 0.4053 0.2691 0.6318  1 Si 1.65
O: 0.4074 0.0820 0.6299  1 S 1.48
O: 0.4080 0.9532 0.5785  1 S 1.46
O: 0.4116 0.9524 0.8618  1 S 1.47
O: 0.4148 0.6175 0.9046  1 S 1.47
O: 0.4187 0.4024 0.2947  1 S 1.47
O: 0.4222 0.0753 0.9217  1 S 1.51
O: 0.4269 0.6081 0.1904  1 Si 1.69
O: 0.4283 0.7505 0.2543  1 Si 1.63
O: 0.4340 0.4240 0.5909  1 Si 1.65
O: 0.4346 0.2907 0.5222  1 Si 1.64
O: 0.5553 0.4118 0.0799  1 S 1.50
O: 0.5602 0.0768 0.4084  1 S 1.50
O: 0.5612 0.2826 0.0257  1 S 1.50
O: 0.5639 0.7518 0.7560  1 Si 1.69
O: 0.5676 0.3957 0.7921  1 S 1.47
O: 0.5769 0.6093 0.6921  1 Si 1.66
O: 0.5774 0.7400 0.4612  1 S 1.46
O: 0.5813 0.6134 0.4064  1 S 1.50
O: 0.5826 0.9447 0.3579  1 S 1.50
O: 0.5859 0.0739 0.1259  1 S 1.48
O: 0.5918 0.9517 0.0666  1 S 1.47
O: 0.5929 0.2780 0.7308  1 S 1.49
O: 0.5981 0.9459 0.4600  1 S 1.46
O: 0.6005 0.2774 0.1261  1 S 1.47
O: 0.6052 0.9358 0.7528  1 S 1.50
O: 0.6073 0.5916 0.0876  1 S 1.52
O: 0.6075 0.6026 0.8029  1 Si 1.60
O: 0.6081 0.0846 0.7303  1 S 1.46
O: 0.6113 0.4183 0.4037  1 S 1.48
O: 0.6116 0.7439 0.0741  1 S 1.47
O: 0.6128 0.7508 0.3604  1 S 1.50
O: 0.6162 0.4220 0.6941  1 S 1.49
O: 0.6188 0.0921 0.0258  1 S 1.49
O: 0.6189 0.2638 0.4071  1 S 1.49
O: 0.6719 0.1767 0.2400  1 Si 1.63
O: 0.6725 0.5309 0.5814  1 S 1.51
O: 0.6811 0.1932 0.9212  1 S 1.51
O: 0.6822 0.8422 0.8587  1 S 1.50
O: 0.6834 0.8623 0.2507  1 S 1.47
O: 0.6864 0.4907 0.1937  1 S 1.52
O: 0.6874 0.8448 0.5649  1 Si 1.59
O: 0.6878 0.1796 0.6295  1 S 1.47
O: 0.6909 0.5009 0.9085  1 S 1.48
O: 0.6919 0.8500 0.9602  1 S 1.47
O: 0.6951 0.1559 0.5289  1 S 1.49
O: 0.6967 0.5277 0.2923  1 S 1.47
O: 0.7860 0.3373 0.0674  1 S 1.46
O: 0.7896 0.0279 0.7932  1 S 1.48
O: 0.7923 0.6528 0.0289  1 S 1.48
O: 0.7948 0.0025 0.4067  1 S 1.49
O: 0.7956 0.3488 0.4593  1 S 1.46
O: 0.7982 0.9905 0.6946  1 S 1.49
O: 0.7995 0.6773 0.1294  1 S 1.47
O: 0.8053 0.6926 0.4180  1 S 1.49
O: 0.8060 0.3408 0.3577  1 S 1.51
O: 0.8064 0.3616 0.7526  1 S 1.48
O: 0.8148 0.0320 0.0809  1 S 1.50
O: 0.8213 0.6720 0.7445  1 Si 1.62
O: 0.8686 0.5897 0.5259  1 S 1.48
O: 0.8685 0.7648 0.9083  1 S 1.50
O: 0.8716 0.2506 0.8620  1 S 1.48
O: 0.8730 0.2480 0.5740  1 S 1.47
O: 0.8763 0.1008 0.3005  1 Si 1.60
O: 0.8757 0.9222 0.1932  1 S 1.51
O: 0.8775 0.9194 0.9053  1 S 1.48
O: 0.8781 0.5844 0.2291  1 S 1.47
O: 0.8805 0.4352 0.2512  1 S 1.49
O: 0.8813 0.0962 0.5875  1 S 1.50
O: 0.8860 0.4435 0.9620  1 S 1.48
O: 0.8909 0.7768 0.6321  1 Si 1.61
O: 0.8918 0.4490 0.5662  1 S 1.47
O: 0.8973 0.7784 0.2301  1 S 1.49
O: 0.9031 0.5699 0.6263  1 S 1.47
O: 0.9043 0.1132 0.9084  1 S 1.49
O: 0.9051 0.4439 0.8600  1 S 1.48
O: 0.9086 0.2406 0.9628  1 S 1.47
O: 0.9176 0.1119 0.1905  1 Si 1.67
O: 0.9225 0.8965 0.2914  1 S 1.46
O: 0.9261 0.5750 0.9115  1 S 1.49
O: 0.9290 0.2530 0.2566  1 Si 1.68
O: 0.9342 0.7803 0.5218  1 Si 1.69
O: 0.9413 0.9244 0.5830  1 Si 1.67

The calculation puts the formation energy at -2743 meV per atom. As for the space group: P1 (1). The size of the total moment is 0.00 μB/cell. Its calculated total energy is -7.325 eV/atom. The calculation puts the total energy after the MP2020 corrections at -1637.1 eV per cell.